Entry 1:
VASP calculation (PBE+U) on Ni4P2O9 after structural relaxation.

a b c (Å): 6.347 8.465 13.268
angles (deg): 90.00 90.00 90.00
Fractional coordinates of all 60 atoms:
Ni  0.750  0.073  0.916
Ni  0.250  0.145  0.564
Ni  0.515  0.144  0.354
Ni  0.985  0.144  0.354
Ni  0.015  0.356  0.854
Ni  0.485  0.356  0.854
Ni  0.750  0.355  0.064
Ni  0.250  0.427  0.416
Ni  0.750  0.573  0.584
Ni  0.250  0.645  0.936
Ni  0.515  0.644  0.146
Ni  0.985  0.644  0.146
Ni  0.015  0.856  0.646
Ni  0.485  0.856  0.646
Ni  0.750  0.855  0.436
Ni  0.250  0.927  0.084
P  0.250  0.006  0.845
P  0.750  0.166  0.576
P  0.250  0.334  0.076
P  0.750  0.494  0.345
P  0.250  0.506  0.655
P  0.750  0.666  0.924
P  0.250  0.834  0.424
P  0.750  0.994  0.155
O  0.546  0.096  0.624
O  0.954  0.096  0.624
O  0.750  0.109  0.461
O  0.750  0.092  0.256
O  0.049  0.111  0.851
O  0.451  0.111  0.851
O  0.750  0.115  0.068
O  0.250  0.157  0.086
O  0.250  0.194  0.418
O  0.750  0.306  0.918
O  0.750  0.343  0.586
O  0.250  0.385  0.568
O  0.549  0.389  0.351
O  0.951  0.389  0.351
O  0.250  0.408  0.756
O  0.250  0.391  0.961
O  0.046  0.404  0.124
O  0.454  0.404  0.124
O  0.546  0.596  0.876
O  0.954  0.596  0.876
O  0.750  0.609  0.039
O  0.750  0.592  0.244
O  0.049  0.611  0.649
O  0.451  0.611  0.649
O  0.750  0.615  0.432
O  0.250  0.657  0.414
O  0.250  0.694  0.082
O  0.750  0.806  0.582
O  0.750  0.843  0.914
O  0.250  0.885  0.932
O  0.549  0.889  0.149
O  0.951  0.889  0.149
O  0.250  0.908  0.744
O  0.250  0.891  0.539
O  0.046  0.904  0.376
O  0.454  0.904  0.376

Calculated values
Distance to the lowest polymorph of the same formula: 0.002 eV/atom
Energy of formation from the pure elements: -1.95 eV per atom
SG: Pnma
Corrected total energy (MP2020 scheme): -7.1852 eV per atom
V: 11.88 Å³ per atom
Raw total energy: -6.095 eV per atom

***

Entry 2:
VASP calculation (PBE+U) on NiP4O12 after structural relaxation.

a b c (Å): 12.934 8.332 9.199
angles (deg): 90.00 90.00 90.00
Fractional coordinates of all 68 atoms:
Ni  0.000  0.364  0.750
Ni  0.500  0.864  0.750
Ni  0.000  0.636  0.250
Ni  0.500  0.136  0.250
P  0.143  0.815  0.007
P  0.851  0.459  0.490
P  0.351  0.959  0.010
P  0.649  0.959  0.490
P  0.643  0.315  0.493
P  0.149  0.541  0.510
P  0.149  0.459  0.010
P  0.351  0.041  0.510
P  0.643  0.685  0.993
P  0.649  0.041  0.990
P  0.857  0.815  0.493
P  0.357  0.685  0.507
P  0.143  0.185  0.507
P  0.857  0.185  0.993
P  0.357  0.315  0.007
P  0.851  0.541  0.990
O  0.568  0.962  0.373
O  0.059  0.809  0.121
O  0.371  0.862  0.874
O  0.318  0.139  0.963
O  0.318  0.861  0.463
O  0.745  0.392  0.420
O  0.871  0.362  0.626
O  0.932  0.538  0.873
O  0.371  0.138  0.374
O  0.891  0.908  0.626
O  0.818  0.361  0.037
O  0.059  0.191  0.621
O  0.629  0.862  0.626
O  0.255  0.608  0.580
O  0.245  0.892  0.080
O  0.391  0.592  0.374
O  0.129  0.362  0.874
O  0.441  0.691  0.621
O  0.245  0.108  0.580
O  0.755  0.892  0.420
O  0.432  0.038  0.627
O  0.682  0.861  0.037
O  0.941  0.191  0.879
O  0.182  0.639  0.963
O  0.818  0.639  0.537
O  0.182  0.361  0.463
O  0.891  0.092  0.126
O  0.871  0.638  0.126
O  0.441  0.309  0.121
O  0.941  0.809  0.379
O  0.391  0.408  0.874
O  0.568  0.038  0.873
O  0.609  0.408  0.626
O  0.559  0.691  0.879
O  0.559  0.309  0.379
O  0.068  0.462  0.127
O  0.932  0.462  0.373
O  0.682  0.139  0.537
O  0.109  0.092  0.374
O  0.609  0.592  0.126
O  0.755  0.108  0.920
O  0.432  0.962  0.127
O  0.129  0.638  0.374
O  0.255  0.392  0.080
O  0.745  0.608  0.920
O  0.109  0.908  0.874
O  0.629  0.138  0.126
O  0.068  0.538  0.627

Calculated values
Distance to the lowest polymorph of the same formula: 0.012 eV/atom
Energy of formation from the pure elements: -2.17 eV per atom
SG: Pbcn
Corrected total energy (MP2020 scheme): -7.2805 eV per atom
V: 14.58 Å³ per atom
Raw total energy: -6.646 eV per atom

***

Entry 3:
VASP calculation (PBE+U) on NiP3O9 after structural relaxation.

a b c (Å): 8.319 8.600 8.880
angles (deg): 90.00 90.00 90.00
Fractional coordinates of all 52 atoms:
Ni  0.652  0.630  0.614
Ni  0.848  0.370  0.114
Ni  0.348  0.130  0.886
Ni  0.152  0.870  0.386
P  0.800  0.690  0.924
P  0.025  0.688  0.671
P  0.184  0.528  0.193
P  0.316  0.472  0.693
P  0.475  0.312  0.171
P  0.700  0.310  0.424
P  0.200  0.190  0.576
P  0.975  0.188  0.829
P  0.816  0.028  0.307
P  0.684  0.972  0.807
P  0.525  0.812  0.329
P  0.300  0.810  0.076
O  0.964  0.738  0.836
O  0.619  0.680  0.398
O  0.222  0.641  0.049
O  0.886  0.626  0.580
O  0.836  0.616  0.072
O  0.144  0.626  0.327
O  0.422  0.604  0.642
O  0.692  0.590  0.824
O  0.142  0.549  0.719
O  0.358  0.451  0.219
O  0.808  0.410  0.324
O  0.078  0.396  0.142
O  0.356  0.374  0.827
O  0.664  0.384  0.572
O  0.614  0.374  0.080
O  0.278  0.359  0.549
O  0.881  0.320  0.898
O  0.536  0.262  0.336
O  0.036  0.238  0.664
O  0.381  0.180  0.102
O  0.778  0.141  0.451
O  0.114  0.126  0.920
O  0.164  0.116  0.428
O  0.856  0.126  0.173
O  0.578  0.104  0.858
O  0.308  0.090  0.676
O  0.858  0.049  0.781
O  0.642  0.951  0.281
O  0.192  0.910  0.176
O  0.922  0.896  0.358
O  0.644  0.874  0.673
O  0.336  0.884  0.928
O  0.386  0.874  0.420
O  0.722  0.859  0.951
O  0.119  0.820  0.602
O  0.464  0.762  0.164

Calculated values
Distance to the lowest polymorph of the same formula: 0.025 eV/atom
Energy of formation from the pure elements: -2.25 eV per atom
SG: P2_12_12_1
Corrected total energy (MP2020 scheme): -7.3664 eV per atom
V: 12.22 Å³ per atom
Raw total energy: -6.695 eV per atom

***

Entry 4:
VASP calculation (PBE+U) on NiP3O9 after structural relaxation.

a b c (Å): 10.002 10.631 13.696
angles (deg): 90.00 90.00 90.00
Fractional coordinates of all 104 atoms:
Ni  0.000  0.000  0.000
Ni  0.500  0.000  0.000
Ni  0.028  0.500  0.250
Ni  0.528  0.500  0.250
Ni  0.000  0.000  0.500
Ni  0.500  0.000  0.500
Ni  0.472  0.500  0.750
Ni  0.972  0.500  0.750
P  0.287  0.477  0.102
P  0.787  0.523  0.102
P  0.451  0.253  0.125
P  0.951  0.747  0.125
P  0.263  0.048  0.146
P  0.763  0.952  0.146
P  0.763  0.048  0.354
P  0.263  0.952  0.354
P  0.951  0.253  0.375
P  0.451  0.747  0.375
P  0.287  0.523  0.398
P  0.787  0.477  0.398
P  0.713  0.477  0.602
P  0.213  0.523  0.602
P  0.549  0.253  0.625
P  0.049  0.747  0.625
P  0.737  0.048  0.646
P  0.237  0.952  0.646
P  0.237  0.048  0.854
P  0.737  0.952  0.854
P  0.049  0.253  0.875
P  0.549  0.747  0.875
P  0.213  0.477  0.898
P  0.713  0.523  0.898
O  0.250  0.544  0.000
O  0.750  0.456  0.000
O  0.531  0.169  0.059
O  0.031  0.831  0.059
O  0.362  0.351  0.062
O  0.862  0.649  0.062
O  0.144  0.082  0.086
O  0.644  0.918  0.086
O  0.864  0.043  0.106
O  0.364  0.957  0.106
O  0.162  0.436  0.153
O  0.662  0.564  0.153
O  0.884  0.439  0.155
O  0.384  0.561  0.155
O  0.338  0.175  0.182
O  0.838  0.825  0.182
O  0.537  0.324  0.196
O  0.037  0.676  0.196
O  0.207  0.000  0.250
O  0.707  0.000  0.250
O  0.037  0.324  0.304
O  0.537  0.676  0.304
O  0.838  0.175  0.318
O  0.338  0.825  0.318
O  0.384  0.439  0.345
O  0.884  0.561  0.345
O  0.662  0.436  0.347
O  0.162  0.564  0.347
O  0.364  0.043  0.394
O  0.864  0.957  0.394
O  0.644  0.082  0.414
O  0.144  0.918  0.414
O  0.362  0.649  0.438
O  0.862  0.351  0.438
O  0.031  0.169  0.441
O  0.531  0.831  0.441
O  0.250  0.456  0.500
O  0.750  0.544  0.500
O  0.469  0.169  0.559
O  0.969  0.831  0.559
O  0.638  0.351  0.562
O  0.138  0.649  0.562
O  0.856  0.082  0.586
O  0.356  0.918  0.586
O  0.136  0.043  0.606
O  0.636  0.957  0.606
O  0.838  0.436  0.653
O  0.338  0.564  0.653
O  0.116  0.439  0.655
O  0.616  0.561  0.655
O  0.662  0.175  0.682
O  0.162  0.825  0.682
O  0.463  0.324  0.696
O  0.963  0.676  0.696
O  0.293  0.000  0.750
O  0.793  0.000  0.750
O  0.963  0.324  0.804
O  0.463  0.676  0.804
O  0.162  0.175  0.818
O  0.662  0.825  0.818
O  0.616  0.439  0.845
O  0.116  0.561  0.845
O  0.338  0.436  0.847
O  0.838  0.564  0.847
O  0.636  0.043  0.894
O  0.136  0.957  0.894
O  0.356  0.082  0.914
O  0.856  0.918  0.914
O  0.138  0.351  0.938
O  0.638  0.649  0.938
O  0.969  0.169  0.941
O  0.469  0.831  0.941

Calculated values
Distance to the lowest polymorph of the same formula: 0.014 eV/atom
Energy of formation from the pure elements: -2.26 eV per atom
SG: Pcca
Corrected total energy (MP2020 scheme): -7.3778 eV per atom
V: 14.00 Å³ per atom
Raw total energy: -6.707 eV per atom